#P
Mn12O7F17: optimized geometry, PBE+U.

Cell and atoms, written as POSCAR:
```
Mn12O7F17
1.0
4.8232 0.0000 0.0000
0.4919 5.7940 0.0000
0.1092 0.1196 15.7926
Mn O F
12 7 17
Cartesian
0.0000 0.0000 0.0000 Mn
0.3531 3.9167 2.4992 Mn
0.6283 5.7262 5.1545 Mn
0.5448 4.0262 12.9477 Mn
0.5120 3.8902 7.6925 Mn
2.5780 2.9113 5.0364 Mn
2.6565 3.0243 10.3173 Mn
2.5160 1.1127 7.8294 Mn
2.7547 3.0328 15.4285 Mn
2.6047 1.1195 12.9480 Mn
2.5836 1.0701 2.4663 Mn
5.3531 5.7307 10.5412 Mn
1.5025 4.2527 11.2757 O
1.4754 4.1508 6.0499 O
1.6030 2.6153 3.3235 O
1.6875 2.6749 13.7239 O
1.6935 2.7267 8.6520 O
4.3380 5.5658 12.1798 O
4.2689 5.4971 1.6926 O
1.6052 5.6264 8.8111 F
1.5234 4.1409 0.8276 F
1.7223 5.5075 3.3828 F
1.8034 5.5912 14.0753 F
1.4676 1.2558 6.0452 F
1.5455 1.3180 11.2452 F
1.5152 1.2902 0.7141 F
3.7782 2.5920 6.7158 F
3.8271 2.6983 11.9396 F
3.7736 1.3334 14.6268 F
3.7105 1.3111 4.2557 F
3.7514 1.3066 9.5839 F
3.8304 2.5743 1.4596 F
4.2314 5.5043 6.9521 F
4.1350 4.2094 4.2207 F
4.1783 4.1729 9.3225 F
4.3524 4.2229 14.6773 F
```

---

#Q
Mn12O7F17: optimized geometry, PBE+U.

Cell and atoms, written as POSCAR:
```
Mn12O7F17
1.0
4.7979 0.0000 0.0000
0.1018 5.8269 0.0000
0.1437 0.0422 15.7646
Mn O F
12 7 17
Cartesian
0.0000 0.0000 0.0000 Mn
0.0567 0.0758 5.1580 Mn
0.1787 3.8741 7.7306 Mn
0.2745 3.8598 12.9791 Mn
2.3417 2.8773 10.3083 Mn
2.3310 1.1687 7.6668 Mn
2.4400 2.8368 15.5637 Mn
2.4532 1.0776 13.0392 Mn
2.3971 0.9765 2.3155 Mn
2.5012 2.8901 5.0255 Mn
4.6664 4.0522 2.5916 Mn
4.9399 5.6799 10.3876 Mn
1.1561 4.1018 11.2383 O
1.3978 2.5755 8.6265 O
1.5033 2.6229 13.8555 O
1.4079 1.2319 0.6787 O
1.4593 1.4509 5.9454 O
3.7830 4.1905 4.2751 O
3.8109 5.5559 1.6424 O
1.0778 4.1324 0.9245 F
1.2560 5.4996 8.5998 F
1.3060 5.5127 14.0115 F
1.2514 5.5494 3.4173 F
1.3274 4.2883 5.9850 F
1.3307 1.1961 11.3048 F
1.3011 2.6189 3.2596 F
3.4769 1.2725 9.4478 F
3.5530 2.6251 11.9298 F
3.4973 2.6799 1.4444 F
3.5160 1.3373 4.0226 F
3.6793 2.6449 6.7217 F
3.7378 1.2880 14.6363 F
3.7504 4.2120 9.4263 F
3.8459 5.4972 12.2373 F
3.7990 5.6339 6.9301 F
3.9079 4.1413 14.7252 F
```

---

How far above the most stable structure does each one sit? In meV/atom: #P 0; #Q 13.

---

#P
MgFe4H4O8: optimized geometry, PBE+U.

Cell and atoms, written as POSCAR:
```
MgFe4H4O8
1.0
7.9062 -1.5474 0.0000
7.9062 1.5474 0.0000
-7.2488 0.0000 8.0745
Mg Fe H O
1 4 4 8
Cartesian
0.0000 0.0000 0.0000 Mg
0.1493 -0.2939 2.6169 Fe
5.4514 -0.0520 0.0852 Fe
3.1123 -0.0520 7.9892 Fe
8.4144 -0.2939 5.4576 Fe
3.4115 -0.0488 1.9528 H
2.3825 -0.3239 4.6085 H
5.1522 -0.0488 6.1217 H
6.1811 -0.3239 3.4660 H
-5.5256 -0.0615 6.9919 O
3.5228 -0.0527 0.9880 O
-0.2388 -0.0495 6.8800 O
1.4421 -0.3397 4.3673 O
8.8025 -0.0495 1.1945 O
5.0409 -0.0527 7.0864 O
7.1216 -0.3397 3.7071 O
14.0892 -0.0615 1.0825 O
```

---

#Q
MgFe4H4O8: optimized geometry, PBE+U.

Cell and atoms, written as POSCAR:
```
MgFe4H4O8
1.0
7.3336 -1.5001 0.0000
7.3336 1.5001 0.0000
-5.1933 0.0000 8.3466
Mg Fe H O
1 4 4 8
Cartesian
0.0000 0.0000 0.0000 Mg
-2.8797 0.0000 6.7343 Fe
2.3011 0.0000 3.7451 Fe
7.1729 0.0000 4.6015 Fe
12.3537 0.0000 1.6123 Fe
-0.3640 0.0000 2.8496 H
2.8846 0.0000 1.4016 H
6.5894 0.0000 6.9450 H
9.8380 0.0000 5.4970 H
-1.1345 0.0000 3.4674 O
0.9287 0.0000 5.3107 O
3.5672 0.0000 2.1020 O
6.0492 0.0000 0.6175 O
3.4248 0.0000 7.7291 O
5.9068 0.0000 6.2446 O
8.5453 0.0000 3.0359 O
10.6085 0.0000 4.8792 O
```

---

How far above the most stable structure does each one sit? In meV/atom: #P 0; #Q 83.

---

#P
Li4Mn3Fe3W2O16: optimized geometry, PBE+U.

Cell and atoms, written as POSCAR:
```
Li4Mn3Fe3W2O16
1.0
5.1711 -2.9284 0.0000
5.1711 2.9284 0.0000
-0.4021 0.0000 9.7494
Li Mn Fe W O
4 3 3 2 16
Cartesian
0.0000 0.0000 0.0000 Li
-0.1835 0.0000 4.8565 Li
2.9955 0.0000 8.9687 Li
6.6455 0.0000 4.0316 Li
4.1340 1.4488 2.1998 Mn
4.1340 -1.4488 2.1998 Mn
8.2562 0.0000 7.0244 Mn
1.6347 0.0000 2.1641 Fe
5.7199 1.3880 7.1077 Fe
5.7199 -1.3880 7.1077 Fe
3.0959 0.0000 4.8604 W
6.4298 0.0000 9.7329 W
-0.1008 0.0000 3.0139 O
2.3824 1.2421 3.4663 O
3.9758 1.4408 5.7352 O
1.5199 0.0000 5.8570 O
3.3174 0.0000 1.2311 O
6.1793 1.4606 1.0008 O
2.3824 -1.2421 3.4663 O
4.7401 0.0000 3.4215 O
4.9419 0.0000 8.5077 O
7.3002 1.2828 8.4062 O
3.9758 -1.4408 5.7352 O
6.6510 0.0000 6.0399 O
8.5897 0.0000 1.0204 O
6.1793 -1.4606 1.0008 O
7.3002 -1.2828 8.4062 O
9.9260 0.0000 7.8796 O
```

---

#Q
Li4Mn3Fe3W2O16: optimized geometry, PBE+U.

Cell and atoms, written as POSCAR:
```
Li4Mn3Fe3W2O16
1.0
5.9624 0.0000 0.0000
2.9775 5.2652 0.0000
0.1393 0.2084 9.8692
Li Mn Fe W O
4 3 3 2 16
Cartesian
0.0000 0.0000 0.0000 Li
3.0279 5.2895 4.9088 Li
3.0713 1.7791 4.1483 Li
6.0812 3.7150 9.0999 Li
1.6165 1.0287 7.1607 Mn
4.5566 1.0102 7.1632 Mn
5.9951 1.7948 2.1984 Mn
3.0806 3.5887 7.1611 Fe
4.5207 4.3850 2.2340 Fe
7.4276 4.3935 2.2509 Fe
3.0897 2.0386 9.8623 W
6.0543 3.5632 4.8931 W
1.7582 2.6944 8.5966 O
1.5099 0.9318 0.9652 O
2.9287 3.4344 1.0071 O
3.0996 1.7555 6.1762 O
4.6160 4.3623 5.8324 O
3.0838 0.3990 8.4431 O
4.4278 2.6995 8.6170 O
6.0877 5.0728 3.6186 O
4.7806 2.6718 3.6118 O
4.3470 0.8368 0.9743 O
6.0161 3.4512 1.2424 O
7.4783 4.3443 5.8968 O
6.0720 1.8165 5.9539 O
7.3985 2.8061 3.5820 O
5.9612 0.0860 3.0594 O
6.0654 0.1913 8.0144 O
```

---

How far above the most stable structure does each one sit? In meV/atom: #P 47; #Q 0.

---

#P
Li2CoSiO4: optimized geometry, PBE+U.

Cell and atoms, written as POSCAR:
```
Li2CoSiO4
1.0
-2.1721 3.7180 -3.2191
-2.2098 0.3168 4.8920
8.7337 8.0642 3.4262
O Li Si Co
16 8 4 4
Cartesian
0.9483 5.2782 1.1761 O
0.9453 2.7762 2.2487 O
0.9379 6.8097 3.9417 O
-0.9428 3.5342 0.4385 O
3.4221 4.5213 2.9956 O
-0.9457 0.4888 1.2818 O
3.1127 5.5936 6.0886 O
-0.9529 4.5224 2.9751 O
5.3153 9.3108 2.8890 O
-3.4295 2.7770 2.2280 O
1.2220 3.8498 5.3501 O
-1.2541 1.5615 4.3749 O
5.5887 7.8817 7.0629 O
3.4149 8.5558 4.6883 O
3.4246 7.5665 2.1509 O
5.3129 6.8090 3.9614 O
2.1965 4.8791 -0.3066 Li
4.3705 10.9290 2.2423 Li
2.1888 8.9123 1.3862 Li
6.5633 8.9112 1.4065 Li
0.0037 6.8969 0.5293 Li
4.3778 6.8955 0.5492 Li
0.0114 2.8636 -1.1638 Li
-2.1777 4.8807 -0.3267 Li
-0.0002 4.0272 1.7107 Si
4.3669 8.0599 3.4233 Si
-2.1653 3.7115 -3.2021 Si
2.2018 7.7436 -1.4883 Si
-2.1820 2.0099 0.8535 Co
4.3846 9.7564 -0.6335 Co
2.1837 6.0411 2.5660 Co
0.0190 5.7255 -2.3462 Co
```

Output
The calculation puts the maximum piezoelectric response at 0.45 C/m2.

---

#Q
Li2CoSiO4: optimized geometry, PBE+U.

Cell and atoms, written as POSCAR:
```
Li2CoSiO4
1.0
10.4343 0.0000 0.0000
0.0000 5.2948 0.0000
0.0000 0.0000 13.0211
Li Co Si O
16 8 8 32
Cartesian
0.3889 0.2730 0.0000 Li
0.5082 2.9375 4.8542 Li
2.2347 1.9599 3.0391 Li
2.2595 4.5860 1.7652 Li
2.9577 4.5860 8.2758 Li
2.9825 1.9599 9.5497 Li
4.7090 2.9375 11.3647 Li
4.8282 0.2730 6.5105 Li
5.6061 5.0218 0.0000 Li
5.7253 2.3573 4.8542 Li
7.4518 3.3349 3.0391 Li
7.4766 0.7088 1.7652 Li
8.1748 0.7088 8.2758 Li
8.1997 3.3349 9.5497 Li
9.9262 2.3573 11.3647 Li
10.0454 5.0218 6.5105 Li
0.3915 5.0290 9.7540 Co
2.1762 2.8440 12.9309 Co
3.0410 2.8440 6.4204 Co
4.8256 5.0290 3.2435 Co
5.6087 0.2658 9.7540 Co
7.3934 2.4508 12.9309 Co
8.2581 2.4508 6.4204 Co
10.0428 0.2658 3.2435 Co
0.3555 2.4181 8.1048 Si
2.1686 0.2160 4.9198 Si
3.0485 0.2160 11.4303 Si
4.8616 2.4181 1.5942 Si
5.5727 2.8767 8.1048 Si
7.3858 5.0788 4.9198 Si
8.2657 5.0788 11.4303 Si
10.0788 2.8767 1.5942 Si
0.1070 4.4696 1.6555 O
0.2555 2.1358 2.9472 O
0.3164 2.2537 0.2142 O
0.6289 4.9320 4.8459 O
1.9895 2.6973 8.1093 O
2.1469 1.8704 5.0183 O
2.2268 4.8502 12.6921 O
2.3513 5.2580 9.9442 O
2.8659 5.2580 3.4337 O
2.9904 4.8502 6.1815 O
3.0703 1.8704 11.5288 O
3.2277 2.6973 1.5988 O
4.5883 4.9320 11.3564 O
4.9008 2.2537 6.7247 O
4.9617 2.1358 9.4578 O
5.1102 4.4696 8.1660 O
5.3241 0.8252 1.6555 O
5.4727 3.1590 2.9472 O
5.5335 3.0411 0.2142 O
5.8460 0.3628 4.8459 O
7.2066 2.5975 8.1093 O
7.3640 3.4244 5.0183 O
7.4439 0.4446 12.6921 O
7.5684 0.0368 9.9442 O
8.0830 0.0368 3.4337 O
8.2076 0.4446 6.1815 O
8.2874 3.4244 11.5288 O
8.4449 2.5975 1.5988 O
9.8054 0.3628 11.3564 O
10.1179 3.0411 6.7247 O
10.1788 3.1590 9.4578 O
10.3274 0.8252 8.1660 O
```

---

How far above the most stable structure does each one sit? In meV/atom: #P 0; #Q 21.

---

#P
Li4Co3NiO8: optimized geometry, PBE+U.

Cell and atoms, written as POSCAR:
```
Li4Co3NiO8
1.0
2.8551 1.6484 4.7375
-2.8551 1.6484 4.7375
0.0000 -3.2968 4.7375
Li Co Ni O
4 3 1 8
Cartesian
0.0000 0.0000 0.0000 Li
-1.4276 -0.8242 4.7375 Li
-1.4276 0.8242 9.4751 Li
0.0000 1.6484 4.7375 Li
-2.8551 0.0000 7.1063 Co
-1.4276 0.8242 2.3688 Co
1.4276 0.8242 2.3688 Co
0.0000 0.0000 7.1063 Ni
-1.4684 -0.8478 8.1489 O
0.0000 0.0000 3.3986 O
0.0000 -1.6956 6.0637 O
-1.4684 0.8478 6.0637 O
1.4684 -0.8478 8.1489 O
0.0000 1.6956 8.1489 O
0.0000 0.0000 10.8140 O
1.4684 0.8478 6.0637 O
```

---

#Q
Li4Co3NiO8: optimized geometry, PBE+U.

Cell and atoms, written as POSCAR:
```
Li4Co3NiO8
1.0
5.8311 0.0000 0.0000
-2.8905 5.1153 0.0000
-2.8995 -1.6857 9.5942
Li Co Ni O
8 6 2 16
Cartesian
0.0000 0.0000 0.0000 Li
-2.8818 1.7152 4.7923 Li
-1.4318 0.8506 2.4917 Li
-1.4203 2.5266 7.0673 Li
0.0162 -1.6849 9.5922 Li
0.0316 1.7160 4.7954 Li
1.4835 0.9074 2.5259 Li
1.4950 2.5819 7.0980 Li
-4.3421 0.8727 9.5920 Co
-4.3299 4.2728 4.7946 Co
0.0009 3.4185 2.4204 Co
-1.4266 0.8722 9.5917 Co
1.4758 -0.8418 4.7956 Co
0.0530 0.0140 7.1686 Co
-2.8783 3.4204 2.3944 Ni
2.9317 0.0118 7.1951 Ni
-1.4137 4.0764 1.0970 O
-1.4194 0.7324 5.9518 O
-2.8964 1.5925 8.5540 O
0.0360 1.8140 1.0391 O
-2.8773 3.4656 6.0268 O
0.1066 -0.0591 3.6556 O
-1.3383 2.6376 3.5034 O
-1.3739 -0.6237 8.4260 O
1.4223 4.0547 1.1634 O
1.3950 0.7946 6.0866 O
-0.0456 3.4907 5.9345 O
2.9390 -0.0341 3.5632 O
0.0088 1.6170 8.5506 O
2.9415 1.8384 1.0358 O
1.4773 2.6986 3.6379 O
1.4614 -0.6451 8.4924 O
```

---

How far above the most stable structure does each one sit? In meV/atom: #P 0; #Q 50.

---

#P
Mn2ZnO4: optimized geometry, PBE+U.

Cell and atoms, written as POSCAR:
```
Mn2ZnO4
1.0
3.0461 1.7587 4.9521
-3.0461 1.7587 4.9521
0.0000 -3.5174 4.9521
Mn Zn O
4 2 8
Cartesian
0.0000 0.0000 0.0000 Mn
-1.5228 -0.8792 6.7334 Mn
1.5228 -0.8792 6.7334 Mn
0.0000 1.7583 6.7334 Mn
0.0000 0.0000 3.5544 Zn
0.0000 0.0000 9.2015 Zn
0.0000 0.0000 5.5465 O
0.0000 -1.6070 7.8045 O
-1.3917 0.8035 7.8045 O
-1.3740 -0.7933 10.6247 O
1.3917 0.8035 7.8044 O
0.0000 0.0000 12.8389 O
1.3740 -0.7933 10.6247 O
0.0000 1.5866 10.6247 O
```

---

#Q
Mn2ZnO4: optimized geometry, PBE+U.

Cell and atoms, written as POSCAR:
```
Mn2ZnO4
1.0
7.5215 -1.5023 0.0000
7.5215 1.5023 0.0000
-5.7263 0.0000 7.3600
Mn Zn O
4 2 8
Cartesian
-0.6663 0.0000 3.2666 Mn
4.2888 0.0000 1.3461 Mn
5.0279 0.0000 6.0139 Mn
9.9830 0.0000 4.0934 Mn
1.5649 0.0000 1.4374 Zn
7.7518 0.0000 5.9226 Zn
-3.5861 0.0000 5.5430 O
-0.9780 0.0000 6.7652 O
1.2700 0.0000 4.9381 O
3.1293 0.0000 2.9526 O
6.1874 0.0000 4.4074 O
8.0467 0.0000 2.4220 O
10.2947 0.0000 0.5948 O
12.9028 0.0000 1.8170 O
```

---

How far above the most stable structure does each one sit? In meV/atom: #P 0; #Q 146.